## Sr2EuNbO6 (PBE)

Data for a geometry-optimized Sr2EuNbO6 structure.

Lattice parameters (Å, degrees): 8.455 8.455 8.455 90.00 90.00 90.00
Positions (direct):
Nb 0.250 0.750 0.750
Nb 0.250 0.250 0.250
Nb 0.750 0.250 0.750
Nb 0.750 0.750 0.250
Sr 0.000 0.000 0.500
Sr 0.000 0.000 0.000
Sr 0.000 0.500 0.000
Sr 0.500 0.000 0.500
Sr 0.500 0.500 0.500
Sr 0.500 0.000 0.000
Sr 0.500 0.500 0.000
Sr 0.000 0.500 0.500
O 0.983 0.716 0.208
O 0.483 0.784 0.708
O 0.284 0.208 0.017
O 0.017 0.716 0.792
O 0.716 0.208 0.983
O 0.284 0.792 0.983
O 0.216 0.292 0.483
O 0.017 0.284 0.208
O 0.716 0.792 0.017
O 0.792 0.017 0.716
O 0.708 0.483 0.784
O 0.708 0.517 0.216
O 0.784 0.708 0.483
O 0.208 0.017 0.284
O 0.292 0.517 0.784
O 0.517 0.784 0.292
O 0.517 0.216 0.708
O 0.216 0.708 0.517
O 0.983 0.284 0.792
O 0.483 0.216 0.292
O 0.208 0.983 0.716
O 0.792 0.983 0.284
O 0.784 0.292 0.517
O 0.292 0.483 0.216
Eu 0.250 0.250 0.750
Eu 0.250 0.750 0.250
Eu 0.750 0.250 0.250
Eu 0.750 0.750 0.750

Properties
symmetry = Pn-3
raw total energy = -8.14 eV per atom
E_form = -3211 meV per atom
V = 604.38 Å³ per cell
crystal system = cubic

## Sr2EuNbO6 (PBE)

Data for a geometry-optimized Sr2EuNbO6 structure.

Lattice parameters (Å, degrees): 6.028 6.028 6.028 60.00 60.00 60.00
Positions (direct):
Sr 0.750 0.750 0.750
Sr 0.250 0.250 0.250
Nb 0.500 0.500 0.500
O 0.735 0.735 0.265
O 0.265 0.265 0.735
O 0.735 0.265 0.265
O 0.265 0.735 0.735
O 0.735 0.265 0.735
O 0.265 0.735 0.265
Eu 0.000 0.000 0.000

Properties
symmetry = Fm-3m
raw total energy = -8.07 eV per atom
E_form = -3144 meV per atom
V = 154.91 Å³ per cell
crystal system = cubic

## SrEuYNbO6 (PBE)

Data for a geometry-optimized SrEuYNbO6 structure.

Lattice parameters (Å, degrees): 5.968 5.968 5.968 60.00 60.00 60.00
Positions (direct):
Y 0.500 0.500 0.500
O 0.762 0.238 0.762
O 0.762 0.238 0.238
O 0.238 0.238 0.762
O 0.238 0.762 0.762
O 0.238 0.762 0.238
O 0.762 0.762 0.238
Sr 0.750 0.750 0.750
Eu 0.250 0.250 0.250
Nb 0.000 0.000 0.000

Properties
symmetry = F-43m
raw total energy = -8.78 eV per atom
E_form = -3370 meV per atom
V = 150.28 Å³ per cell
crystal system = cubic

> Which of these has the highest V?

number 1

> Number 1 is which compound?

Sr2EuNbO6

> Among the records above, which one has the lowest V?

SrEuYNbO6

> What is the V in the first record?

604.38 Å³ per cell